1.
# Sc3Re2Si3 (PBE-GGA, relaxed)
data_Sc3Re2Si3
_chemical_formula_sum 'Sc24 Re16 Si24'
_cell_length_a 19.464
_cell_length_b 5.279
_cell_length_c 13.742
_cell_angle_alpha 90.00
_cell_angle_beta 128.83
_cell_angle_gamma 90.00
_space_group_name_H-M_alt 'C 1 2/c 1'
_space_group_IT_number 15
loop_
_space_group_symop_operation_xyz
'x,y,z'
'-x,-y,-z'
'-x,y,-z+1/2'
'x,-y,z+1/2'
'x+1/2,y+1/2,z'
'-x+1/2,-y+1/2,-z'
'-x+1/2,y+1/2,-z+1/2'
'x+1/2,-y+1/2,z+1/2'
loop_
_atom_site_label
_atom_site_type_symbol
_atom_site_fract_x
_atom_site_fract_y
_atom_site_fract_z
Sc1 Sc 0.071 0.117 0.142
Sc2 Sc 0.133 0.072 0.477
Sc3 Sc 0.162 0.410 0.854
Re1 Re 0.032 0.393 0.923
Re2 Re 0.246 0.335 0.245
Si1 Si 0.000 0.141 0.750
Si2 Si 0.000 0.348 0.250
Si3 Si 0.109 0.376 0.616
Si4 Si 0.224 0.079 0.384
# DFT total energy = -8.09 eV per atom
# Magnetization = 0.0 μB/cell
# ΔE_f = -0.543 eV per atom
# Energy with MP2020 corrections = -8.064 eV per atom

2.
# ScRe2Si3 (PBE-GGA, relaxed)
data_ScRe2Si3
_chemical_formula_sum 'Sc16 Re32 Si48'
_cell_length_a 14.620
_cell_length_b 19.274
_cell_length_c 5.227
_cell_angle_alpha 90.00
_cell_angle_beta 90.00
_cell_angle_gamma 90.00
_space_group_name_H-M_alt 'F m m 2'
_space_group_IT_number 42
_space_group_name_Hall 'F 2 -2'
loop_
_atom_site_label
_atom_site_type_symbol
_atom_site_fract_x
_atom_site_fract_y
_atom_site_fract_z
Sc1 Sc 0.175 0.134 0.000
Re1 Re 0.000 0.087 0.244
Re2 Re 0.113 0.202 0.506
Re3 Re 0.232 0.000 0.776
Si1 Si 0.000 0.121 0.744
Si2 Si 0.000 0.211 0.146
Si3 Si 0.110 0.000 0.084
Si4 Si 0.143 0.074 0.497
Si5 Si 0.250 0.250 0.254
# DFT total energy = -8.45 eV per atom
# Magnetization = 0.0 μB/cell
# ΔE_f = -0.503 eV per atom
# Energy with MP2020 corrections = -8.419 eV per atom

3.
# Sc2Re3Si4 (PBE-GGA, relaxed)
data_Sc2Re3Si4
_chemical_formula_sum 'Sc8 Re12 Si16'
_cell_length_a 6.631
_cell_length_b 6.631
_cell_length_c 12.474
_cell_angle_alpha 90.00
_cell_angle_beta 90.00
_cell_angle_gamma 90.00
_space_group_name_H-M_alt 'P 41 21 2'
_space_group_IT_number 92
loop_
_space_group_symop_operation_xyz
'x,y,z'
'-y+1/2,x+1/2,z+1/4'
'-x,-y,z+1/2'
'y+1/2,-x+1/2,z+3/4'
'x+1/2,-y+1/2,-z+3/4'
'-y,-x,-z+1/2'
'-x+1/2,y+1/2,-z+1/4'
'y,x,-z'
loop_
_atom_site_label
_atom_site_type_symbol
_atom_site_fract_x
_atom_site_fract_y
_atom_site_fract_z
Sc1 Sc 0.008 0.341 0.219
Re1 Re 0.018 0.185 0.617
Re2 Re 0.168 0.168 0.000
Si1 Si 0.026 0.279 0.812
Si2 Si 0.121 0.805 0.930
# DFT total energy = -8.61 eV per atom
# ΔE_f = -0.609 eV per atom
# Energy with MP2020 corrections = -8.575 eV per atom

4.
# ScReTc2 (PBE-GGA, relaxed)
data_ScReTc2
_chemical_formula_sum 'Sc4 Re4 Tc8'
_cell_length_a 6.291
_cell_length_b 6.291
_cell_length_c 6.291
_cell_angle_alpha 90.00
_cell_angle_beta 90.00
_cell_angle_gamma 90.00
_space_group_name_H-M_alt 'F m -3 m'
_space_group_IT_number 225
_space_group_name_Hall '-F 4 2 3'
loop_
_atom_site_label
_atom_site_type_symbol
_atom_site_fract_x
_atom_site_fract_y
_atom_site_fract_z
Sc1 Sc 0.000 0.000 0.000
Re1 Re 0.000 0.000 0.500
Tc1 Tc 0.250 0.250 0.250
# DFT total energy = -10.08 eV per atom
# ΔE_f = -0.203 eV per atom

5.
# ReSn2Se (PBE-GGA, relaxed)
data_ReSn2Se
_chemical_formula_sum 'Re4 Sn8 Se4'
_cell_length_a 6.868
_cell_length_b 6.868
_cell_length_c 6.868
_cell_angle_alpha 90.00
_cell_angle_beta 90.00
_cell_angle_gamma 90.00
_space_group_name_H-M_alt 'F -4 3 m'
_space_group_IT_number 216
_space_group_name_Hall 'F -4 2 3'
loop_
_atom_site_label
_atom_site_type_symbol
_atom_site_fract_x
_atom_site_fract_y
_atom_site_fract_z
Re1 Re 0.000 0.000 0.000
Sn1 Sn 0.000 0.000 0.500
Sn2 Sn 0.250 0.250 0.250
Se1 Se 0.250 0.250 0.750
# DFT total energy = -5.27 eV per atom
# Magnetization = 0.1 μB/cell
# ΔE_f = 0.601 eV per atom
# Energy with MP2020 corrections = -5.389 eV per atom

6.
# Ta2Re2SnSe8 (PBE-GGA, relaxed)
data_Ta2Re2SnSe8
_chemical_formula_sum 'Ta2 Re2 Sn1 Se8'
_cell_length_a 3.4404
_cell_length_b 3.4404
_cell_length_c 32.3955
_cell_angle_alpha 90.00
_cell_angle_beta 90.00
_cell_angle_gamma 120.00
_space_group_name_H-M_alt 'P 3 m 1'
_space_group_IT_number 156
loop_
_space_group_symop_operation_xyz
'x,y,z'
'-y,x-y,z'
'-x+y,-x,z'
'-y,-x,z'
'-x+y,y,z'
'x,x-y,z'
loop_
_atom_site_label
_atom_site_type_symbol
_atom_site_fract_x
_atom_site_fract_y
_atom_site_fract_z
Ta1 Ta 0.0000 0.0000 0.0000
Ta2 Ta 0.0000 0.0000 0.4891
Re1 Re 0.0000 0.0000 0.2393
Re2 Re 0.0000 0.0000 0.7266
Sn1 Sn 0.0000 0.0000 0.8667
Se1 Se 0.3333 0.6667 0.0519
Se2 Se 0.3333 0.6667 0.4371
Se3 Se 0.3333 0.6667 0.5411
Se4 Se 0.3333 0.6667 0.9475
Se5 Se 0.6667 0.3333 0.1912
Se6 Se 0.6667 0.3333 0.2873
Se7 Se 0.6667 0.3333 0.6785
Se8 Se 0.6667 0.3333 0.7773
# DFT total energy = -6.58 eV per atom
# Magnetization = 0.8 μB/cell
# ΔE_f = -0.675 eV per atom
# Energy with MP2020 corrections = -6.874 eV per atom

7.
# TaReSe4 (PBE-GGA, relaxed)
data_TaReSe4
_chemical_formula_sum 'Ta1 Re1 Se4'
_cell_length_a 3.4539
_cell_length_b 3.4539
_cell_length_c 12.9220
_cell_angle_alpha 90.00
_cell_angle_beta 90.00
_cell_angle_gamma 120.00
_space_group_name_H-M_alt 'P -6 m 2'
_space_group_IT_number 187
_space_group_name_Hall 'P -6 2'
loop_
_atom_site_label
_atom_site_type_symbol
_atom_site_fract_x
_atom_site_fract_y
_atom_site_fract_z
Ta1 Ta 0.0000 0.0000 0.0000
Re1 Re 0.3333 0.6667 0.5000
Se1 Se 0.0000 0.0000 0.3782
Se2 Se 0.3333 0.6667 0.1302
# DFT total energy = -6.85 eV per atom
# Magnetization = 0.1 μB/cell
# ΔE_f = -0.788 eV per atom
# Energy with MP2020 corrections = -7.169 eV per atom

8.
# Re6Te7Se8 (PBE-GGA, relaxed)
data_Re6Te7Se8
_chemical_formula_sum 'Re24 Te28 Se32'
_cell_length_a 12.859
_cell_length_b 14.384
_cell_length_c 12.906
_cell_angle_alpha 90.00
_cell_angle_beta 90.00
_cell_angle_gamma 90.00
_space_group_name_H-M_alt 'P b c a'
_space_group_IT_number 61
loop_
_space_group_symop_operation_xyz
'x,y,z'
'-x,-y,-z'
'-x+1/2,-y,z+1/2'
'x+1/2,y,-z+1/2'
'x+1/2,-y+1/2,-z'
'-x+1/2,y+1/2,z'
'-x,y+1/2,-z+1/2'
'x,-y+1/2,z+1/2'
loop_
_atom_site_label
_atom_site_type_symbol
_atom_site_fract_x
_atom_site_fract_y
_atom_site_fract_z
Re1 Re 0.008 0.050 0.134
Re2 Re 0.060 0.611 0.548
Re3 Re 0.133 0.048 0.970
Te1 Te 0.000 0.000 0.500
Te2 Te 0.044 0.133 0.324
Te3 Te 0.144 0.723 0.115
Te4 Te 0.176 0.625 0.923
Se1 Se 0.061 0.102 0.796
Se2 Se 0.077 0.200 0.053
Se3 Se 0.178 0.608 0.389
Se4 Se 0.193 0.513 0.646
# DFT total energy = -6.26 eV per atom
# Magnetization = 0.0 μB/cell
# ΔE_f = -0.504 eV per atom
# Energy with MP2020 corrections = -6.439 eV per atom

9.
# Tl2Re3Se6 (PBE-GGA, relaxed)
data_Tl2Re3Se6
_chemical_formula_sum 'Tl16 Re24 Se48'
_cell_length_a 17.592
_cell_length_b 10.110
_cell_length_c 12.494
_cell_angle_alpha 90.00
_cell_angle_beta 90.57
_cell_angle_gamma 90.00
_space_group_name_H-M_alt 'C 1 2/c 1'
_space_group_IT_number 15
loop_
_space_group_symop_operation_xyz
'x,y,z'
'-x,-y,-z'
'-x,y,-z+1/2'
'x,-y,z+1/2'
'x+1/2,y+1/2,z'
'-x+1/2,-y+1/2,-z'
'-x+1/2,y+1/2,-z+1/2'
'x+1/2,-y+1/2,z+1/2'
loop_
_atom_site_label
_atom_site_type_symbol
_atom_site_fract_x
_atom_site_fract_y
_atom_site_fract_z
Tl1 Tl 0.000 0.088 0.250
Tl2 Tl 0.000 0.284 0.750
Tl3 Tl 0.103 0.252 0.486
Re1 Re 0.161 0.347 0.025
Re2 Re 0.206 0.179 0.873
Re3 Re 0.210 0.108 0.080
Se1 Se 0.037 0.473 0.080
Se2 Se 0.084 0.138 0.978
Se3 Se 0.144 0.086 0.693
Se4 Se 0.161 0.413 0.829
Se5 Se 0.169 0.275 0.220
Se6 Se 0.245 0.453 0.568
# DFT total energy = -6.15 eV per atom
# ΔE_f = -0.677 eV per atom
# Energy with MP2020 corrections = -6.407 eV per atom

10.
# ReSi2 (PBE-GGA, relaxed)
data_ReSi2
_chemical_formula_sum 'Re2 Si4'
_cell_length_a 3.196
_cell_length_b 3.196
_cell_length_c 7.866
_cell_angle_alpha 90.00
_cell_angle_beta 90.00
_cell_angle_gamma 90.00
_space_group_name_H-M_alt 'I 4/m m m'
_space_group_IT_number 139
_space_group_name_Hall '-I 4 2'
loop_
_atom_site_label
_atom_site_type_symbol
_atom_site_fract_x
_atom_site_fract_y
_atom_site_fract_z
Re1 Re 0.000 0.000 0.000
Si1 Si 0.000 0.000 0.331
# DFT total energy = -7.96 eV per atom
# Magnetization = 0.0 μB/cell
# ΔE_f = -0.148 eV per atom
# Energy with MP2020 corrections = -7.913 eV per atom

11.
# ReSi (PBE-GGA, relaxed)
data_ReSi
_chemical_formula_sum 'Re4 Si4'
_cell_length_a 4.805
_cell_length_b 4.805
_cell_length_c 4.805
_cell_angle_alpha 90.00
_cell_angle_beta 90.00
_cell_angle_gamma 90.00
_space_group_name_H-M_alt 'P 21 3'
_space_group_IT_number 198
_space_group_name_Hall 'P 2ac 2ab 3'
loop_
_atom_site_label
_atom_site_type_symbol
_atom_site_fract_x
_atom_site_fract_y
_atom_site_fract_z
Re1 Re 0.134 0.134 0.134
Si1 Si 0.156 0.344 0.656
# DFT total energy = -9.24 eV per atom
# ΔE_f = -0.266 eV per atom
# Energy with MP2020 corrections = -9.201 eV per atom

12.
# SmRe4Si2 (PBE-GGA, relaxed)
data_SmRe4Si2
_chemical_formula_sum 'Sm2 Re8 Si4'
_cell_length_a 7.456
_cell_length_b 7.456
_cell_length_c 4.153
_cell_angle_alpha 90.00
_cell_angle_beta 90.00
_cell_angle_gamma 90.00
_space_group_name_H-M_alt 'P 42/m n m'
_space_group_IT_number 136
_space_group_name_Hall '-P 4n 2n'
loop_
_atom_site_label
_atom_site_type_symbol
_atom_site_fract_x
_atom_site_fract_y
_atom_site_fract_z
Sm1 Sm 0.000 0.000 0.000
Re1 Re 0.093 0.343 0.500
Si1 Si 0.209 0.791 0.500
# DFT total energy = -9.79 eV per atom
# ΔE_f = -0.433 eV per atom
# Energy with MP2020 corrections = -9.769 eV per atom